The following is a PBE calculation of CdSi3PH27C9I2 after structural relaxation, from the Materials Project.

Summary:
total magnetization = 0.0 μB per formula unit
energy of formation from the pure elements = -0.2701 eV per atom
total energy after the MP2020 corrections = -4.9287 eV/atom

Cell: 15.8676 16.6942 19.0458 Å, 90.00 90.00 90.00°
Closest atoms and distances in Å follow each position.
Space group P2_12_12_1 (No. 19)
One atom of each set of equivalent atoms:
Cd 0.1304 0.2433 0.1714 x4  1 P 2.60, 1 I 2.79
Cd 0.1910 0.7214 0.8294 x4  1 P 2.61, 1 I 2.78
Si 0.0004 0.3327 0.7681 x4  3 C 1.87-1.88
Si 0.0021 0.9193 0.4099 x4  3 C 1.88
Si 0.0471 0.2173 0.6033 x4  3 C 1.87-1.88
Si 0.0701 0.8389 0.2314 x4  3 C 1.87-1.88
Si 0.0725 0.9123 0.9085 x4  3 C 1.88
Si 0.1079 0.7155 0.3939 x4  3 C 1.87-1.88
P 0.0183 0.8070 0.3408 x4  3 Si 2.30-2.32
P 0.0493 0.7992 0.8414 x4  3 Si 2.30-2.31
H 0.0067 0.5220 0.1861 x4  1 C 1.10
H 0.0078 0.8985 0.1263 x4  1 C 1.10
H 0.0121 0.5069 0.5235 x4  1 C 1.10
H 0.0119 0.6929 0.6866 x4  1 C 1.10
H 0.0203 0.5959 0.3654 x4  1 C 1.10
H 0.0223 0.6951 0.5022 x4  1 C 1.10
H 0.0282 0.5893 0.8706 x4  1 C 1.10
H 0.0298 0.2739 0.4819 x4  1 C 1.10
H 0.0357 0.4454 0.2984 x4  1 C 1.10
H 0.0411 0.6922 0.0025 x4  1 C 1.10
H 0.0458 0.3443 0.9829 x4  1 C 1.10
H 0.0479 0.1103 0.6962 x4  1 C 1.10
H 0.0480 0.7009 0.1836 x4  1 C 1.10
H 0.0580 0.2520 0.8647 x4  1 C 1.10
H 0.0581 0.5524 0.1076 x4  1 C 1.10
H 0.0610 0.4114 0.5190 x4  1 C 1.10
H 0.0672 0.8856 0.6262 x4  1 C 1.10
H 0.0681 0.1745 0.4816 x4  1 C 1.10
H 0.0677 0.4638 0.7371 x4  1 C 1.10
H 0.0722 0.3491 0.3248 x4  1 C 1.10
H 0.0725 0.4714 0.5957 x4  1 C 1.10
H 0.0787 0.4468 0.9831 x4  1 C 1.10
H 0.0812 0.0747 0.6127 x4  1 C 1.10
H 0.0818 0.0110 0.8093 x4  1 C 1.10
H 0.0932 0.2118 0.7837 x4  1 C 1.10
H 0.0963 0.0059 0.4787 x4  1 C 1.10
H 0.0989 0.6110 0.2993 x4  1 C 1.10
H 0.1000 0.7717 0.5159 x4  1 C 1.10
H 0.1085 0.4234 0.8162 x4  1 C 1.10
H 0.1089 0.4835 0.1649 x4  1 C 1.10
H 0.1132 0.9314 0.7013 x4  1 C 1.10
H 0.1212 0.8377 0.0154 x4  1 C 1.10
H 0.1224 0.7567 0.1339 x4  1 C 1.10
H 0.1274 0.5706 0.3823 x4  1 C 1.10
H 0.1305 0.6699 0.5142 x4  1 C 1.10
H 0.1333 0.3752 0.0348 x4  1 C 1.10
H 0.1340 0.0438 0.8868 x4  1 C 1.10
H 0.1387 0.9076 0.4764 x4  1 C 1.10
H 0.1432 0.3851 0.7340 x4  1 C 1.10
H 0.1427 0.8324 0.6768 x4  1 C 1.10
H 0.1483 0.9652 0.2615 x4  1 C 1.10
H 0.1492 0.9718 0.4022 x4  1 C 1.10
H 0.1537 0.7121 0.2143 x4  1 C 1.10
H 0.1616 0.9376 0.0112 x4  1 C 1.10
H 0.1700 0.3124 0.5967 x4  1 C 1.10
H 0.1742 0.2528 0.6747 x4  1 C 1.10
H 0.1835 0.9721 0.8306 x4  1 C 1.10
H 0.1842 0.9209 0.1826 x4  1 C 1.10
H 0.2009 0.2106 0.5921 x4  1 C 1.10
H 0.2071 0.8605 0.9586 x4  1 C 1.10
H 0.2168 0.8806 0.2648 x4  1 C 1.10
H 0.2367 0.7428 0.3213 x4  1 C 1.10
H 0.2370 0.8025 0.3993 x4  1 C 1.10
H 0.2389 0.3011 0.9038 x4  1 C 1.10
C 0.0163 0.3875 0.3203 x4  3 H 1.10
C 0.0227 0.2152 0.5071 x4  3 H 1.10
C 0.0283 0.4530 0.5543 x4  3 H 1.10
C 0.0351 0.1134 0.6397 x4  3 H 1.10
C 0.0385 0.2379 0.8106 x4  3 H 1.10
C 0.0475 0.5013 0.1433 x4  3 H 1.10
C 0.0706 0.3928 0.0158 x4  3 H 1.10
C 0.0859 0.6141 0.3558 x4  3 H 1.10
C 0.0871 0.7139 0.4907 x4  3 H 1.10
C 0.0881 0.4080 0.7625 x4  3 H 1.10
C 0.0897 0.8745 0.6801 x4  3 H 1.10
C 0.1014 0.7425 0.1877 x4  3 H 1.10
C 0.1068 0.9534 0.4447 x4  3 H 1.10
C 0.1228 0.9915 0.8524 x4  3 H 1.10
C 0.1475 0.8834 0.9802 x4  3 H 1.10
C 0.1579 0.2527 0.6186 x4  3 H 1.10
C 0.1636 0.9076 0.2366 x4  3 H 1.10
C 0.2209 0.7436 0.3773 x4  3 H 1.10
I 0.1665 0.1679 0.3077 x4  2 Cd 2.94-2.95
I 0.1704 0.1353 0.0648 x4  1 Cd 2.79
I 0.2257 0.6122 0.9354 x4  1 Cd 2.78
I 0.2287 0.6450 0.6940 x4  2 Cd 2.94



The following is a PBE calculation of KCd2H8C10N15O4 after structural relaxation, from the Materials Project.

Summary:
total magnetization = 1.0 μB per formula unit
energy of formation from the pure elements = -0.1303 eV per atom
total energy after the MP2020 corrections = -6.8109 eV/atom

Cell: 11.5252 11.6118 11.6186 Å, 115.74 116.54 96.28°
Closest atoms and distances in Å follow each position.
Space group P1 (No. 1)
One atom of each set of equivalent atoms:
K 0.0000 0.0000 0.0000 x1  8 N 3.00-3.17
K 0.4969 0.5017 0.0015 x1  8 N 3.03-3.21
Cd 0.2384 0.7421 0.0038 x1  5 N 2.30-2.43, 1 O 2.31
Cd 0.2548 0.2597 0.4937 x1  5 N 2.25-2.43, 1 O 2.47
Cd 0.7430 0.2496 0.0107 x1  5 N 2.23-2.48, 1 O 2.39
Cd 0.7538 0.7533 0.4906 x1  4 N 2.22-2.45, 1 O 2.30
H 0.1753 0.9200 0.5700 x1  1 H 2.27, 1 N 2.35
H 0.2882 0.0185 0.4984 x1  1 O 0.98
H 0.3174 0.6904 0.4370 x1  1 O 0.98
H 0.3778 0.9688 0.3216 x1  1 O 0.98
H 0.4206 0.6892 0.5820 x1  1 O 0.98
H 0.4442 0.1177 0.5902 x1  1 O 0.99
H 0.4780 0.9796 0.2635 x1  1 O 1.00
H 0.5153 0.7749 0.4924 x1  1 O 1.01
H 0.6239 0.9242 0.5772 x1  1 O 0.97
H 0.6440 0.0743 0.7000 x1  1 O 0.97
H 0.6569 0.0773 0.2538 x1  1 O 0.98
H 0.6727 0.2646 0.5402 x1  1 O 0.98
H 0.6889 0.2131 0.7173 x1  1 O 1.00
H 0.7648 0.1775 0.5438 x1  1 O 0.98
H 0.8488 0.4435 0.7914 x1  1 O 0.98
H 0.9388 0.3520 0.7916 x1  1 O 0.98
C 0.0101 0.7303 0.1080 x1  2 N 1.18-1.29
C 0.0262 0.6627 0.4982 x1  2 N 1.17-1.29
C 0.0665 0.3563 0.0927 x1  2 N 1.19-1.29
C 0.1358 0.2362 0.7091 x1  2 N 1.18-1.30
C 0.1574 0.5286 0.4978 x1  2 N 1.18-1.29
C 0.2246 0.5108 0.1032 x1  2 N 1.18-1.29
C 0.2577 0.9756 0.8998 x1  2 N 1.18-1.29
C 0.3758 0.2697 0.2824 x1  2 N 1.18-1.29
C 0.4036 0.1227 0.8914 x1  2 N 1.18-1.29
C 0.4723 0.7611 0.8982 x1  2 N 1.18-1.30
C 0.5219 0.4272 0.2851 x1  2 N 1.18-1.29
C 0.5909 0.4839 0.7122 x1  2 N 1.18-1.30
C 0.6172 0.9042 0.8862 x1  2 N 1.18-1.30
C 0.7349 0.6392 0.7114 x1  2 N 1.18-1.30
C 0.7670 0.8790 0.2807 x1  2 N 1.18-1.30
C 0.8381 0.3413 0.3706 x1  2 N 1.18-1.29
C 0.8561 0.5731 0.0971 x1  2 N 1.18-1.29
C 0.9253 0.0253 0.2863 x1  2 N 1.18-1.29
C 0.9728 0.4760 0.6328 x1  2 N 1.18-1.30
C 0.9808 0.0949 0.7131 x1  2 N 1.18-1.30
N 0.0316 0.0798 0.3065 x1  1 C 1.18
N 0.0394 0.2100 0.7332 x1  2 C 1.30
N 0.0646 0.5679 0.7561 x1  1 C 1.18
N 0.0729 0.7806 0.0732 x1  1 C 1.18
N 0.1309 0.6336 0.4962 x1  2 C 1.29
N 0.1849 0.4484 0.1556 x1  2 C 1.29
N 0.1919 0.4374 0.4993 x1  1 C 1.18
N 0.2159 0.9170 0.9434 x1  1 C 1.18
N 0.2228 0.2724 0.6910 x1  1 C 1.18
N 0.2759 0.5751 0.0705 x1  1 C 1.18
N 0.2870 0.0317 0.8363 x1  2 C 1.29
N 0.2933 0.2212 0.2991 x1  1 C 1.18
N 0.4177 0.7236 0.9477 x1  1 C 1.18
N 0.4658 0.3084 0.2570 x1  2 C 1.29
N 0.4918 0.4209 0.6973 x1  1 C 1.18
N 0.5020 0.2055 0.9252 x1  1 C 1.18
N 0.5244 0.7880 0.8298 x1  2 C 1.30
N 0.5797 0.5305 0.3036 x1  1 C 1.18
N 0.7002 0.0030 0.9215 x1  1 C 1.18
N 0.7075 0.5419 0.7335 x1  2 C 1.30
N 0.7209 0.7943 0.2955 x1  1 C 1.18
N 0.7694 0.4706 0.0500 x1  1 C 1.18
N 0.7725 0.7270 0.6956 x1  1 C 1.18
N 0.8036 0.3054 0.2447 x1  1 C 1.18
N 0.8039 0.9737 0.2590 x1  2 C 1.29-1.30
N 0.8667 0.3701 0.5034 x1  2 C 1.29-1.30
N 0.9169 0.9971 0.6987 x1  1 C 1.18
N 0.9344 0.6968 0.4999 x1  1 C 1.17
N 0.9486 0.6917 0.1618 x1  2 C 1.29
N 0.9645 0.2700 0.0485 x1  1 C 1.19
O 0.3507 0.0804 0.4962 x1  2 H 0.98-0.99
O 0.4069 0.6822 0.4894 x1  2 H 0.98
O 0.4071 0.9137 0.2561 x1  2 H 0.98-1.00
O 0.5589 0.0664 0.2171 x1  1 H 0.98
O 0.5790 0.8338 0.4840 x1  2 H 0.97-1.01
O 0.6398 0.1652 0.7457 x1  2 H 0.97-1.00
O 0.6844 0.1868 0.5511 x1  2 H 0.98
O 0.9089 0.4125 0.8529 x1  2 H 0.98